TlI3O9: optimized geometry, r2SCAN.

The structure in extended XYZ format:
```
26
Lattice="-6.573 0.605 -3.468 2.298 -2.244 -6.729 -2.050 -7.138 0.659" Properties=species:S:1:pos:R:3 pbc="T T T"
O -0.196 -3.156 -2.993
O -1.991 -6.729 -4.266
O -2.294 -1.036 -3.552
O -4.334 -2.048 -5.272
O -4.818 -1.485 -7.985
O -3.571 -5.693 -8.176
O -6.406 -6.559 -2.263
O -2.754 -3.085 -1.362
O 0.310 -7.104 -6.214
O 0.082 -2.218 -7.275
O -5.733 -4.226 -4.088
O -6.128 -5.622 -6.545
O -6.634 -1.673 -3.324
O -0.591 -4.551 -5.450
O -3.802 -5.511 -2.438
O -1.506 -7.292 -1.553
O -4.031 -7.741 -5.985
O -2.523 -3.266 -7.100
I -1.343 -5.947 -2.761
I -4.977 -6.521 -3.382
I -1.347 -2.256 -6.156
I -4.981 -2.830 -6.776
I -1.076 -5.963 -6.483
I -5.248 -2.815 -3.055
Tl -1.121 -1.556 -1.691
Tl -5.203 -7.222 -7.847
```

The calculation puts the total energy at -14.315 eV per atom. Its space group is R-3. As for the formation energy: -0.42 eV/atom.